No. 1
UTeAs | PBE | optimized geometry

a b c (Å): 4.128 4.128 8.904
angles (deg): 90.00 90.00 90.00
Space group P4/nmm (No. 129, origin choice 2)
Asymmetric unit:
U: 0.250 0.250 0.246
Te: 0.250 0.250 0.630
As: 0.250 0.750 0.000

VASP energy = -42.16 eV per cell
DFT formation energy = -0.662 eV per atom



No. 2
Ba2H6Ru | PBE | optimized geometry

a b c (Å): 8.079 8.079 8.079
angles (deg): 90.00 90.00 90.00
Space group Fm-3m (No. 225)
Asymmetric unit:
Ba: 0.250 0.250 0.250
H: 0.000 0.000 0.215
Ru: 0.000 0.000 0.000

VASP energy = -153.09 eV per cell
DFT formation energy = -0.534 eV per atom



No. 3
Rb2NaNbF6 | PBE | optimized geometry

a b c (Å): 8.844 8.844 8.844
angles (deg): 90.00 90.00 90.00
Space group Fm-3m (No. 225)
Asymmetric unit:
Rb: 0.250 0.250 0.250
Na: 0.000 0.000 0.000
Nb: 0.000 0.000 0.500
F: 0.000 0.000 0.261

VASP energy = -208.78 eV per cell
DFT formation energy = -3.010 eV per atom



No. 4
PmF3 | PBE | optimized geometry

a b c (Å): 3.761 3.761 6.597
angles (deg): 90.00 90.00 90.00
Space group I4/mmm (No. 139)
Asymmetric unit:
Pm: 0.000 0.000 0.000
F: 0.000 0.000 0.500
F: 0.000 0.500 0.250

VASP energy = -51.92 eV per cell
DFT formation energy = -4.213 eV per atom



No. 5
V6SiOs | PBE | optimized geometry

a b c (Å): 4.751 4.751 4.751
angles (deg): 90.00 90.00 90.00
Space group Pm-3 (No. 200)
Asymmetric unit:
V: 0.000 0.249 0.500
Si: 0.500 0.500 0.500
Os: 0.000 0.000 0.000

VASP energy = -74.28 eV per cell
DFT formation energy = -0.391 eV per atom



No. 6
MgTi2O4 | PBE | optimized geometry

a b c (Å): 5.9331 5.9331 15.2308
angles (deg): 90.00 90.00 120.00
Space group R3m (No. 160, hexagonal axes)
Asymmetric unit:
Mg: 0.0000 0.0000 0.0000
Mg: 0.0000 0.0000 0.3664
Ti: 0.0000 0.0000 0.6150
Ti: 0.0129 0.5065 0.4930
O: 0.0000 0.0000 0.2341
O: 0.0000 0.0000 0.7373
O: 0.0194 0.5097 0.7525
O: 0.1749 0.3499 0.5777

VASP energy = -340.85 eV per cell
Relative energy among the computed polymorphs = 25 meV per atom
DFT formation energy = -3.196 eV per atom



No. 7
CeSe2 | PBE | optimized geometry

a b c (Å): 9.073 19.612 8.612
angles (deg): 90.00 95.16 90.00
Space group P2_1/c (No. 14)
Asymmetric unit:
Ce: 0.140 0.181 0.187
Ce: 0.270 0.728 0.642
Ce: 0.305 0.517 0.844
Ce: 0.310 0.116 0.769
Se: 0.061 0.199 0.854
Se: 0.161 0.102 0.463
Se: 0.170 0.666 0.333
Se: 0.224 0.057 0.054
Se: 0.242 0.654 0.931
Se: 0.398 0.519 0.171
Se: 0.402 0.598 0.593
Se: 0.422 0.250 0.206

VASP energy = -277.55 eV per cell
DFT formation energy = -1.789 eV per atom



No. 8
BaUP2S8 | PBE | optimized geometry

a b c (Å): 11.480 11.480 9.781
angles (deg): 90.00 90.00 90.00
Space group P4_2/mbc (No. 135)
Asymmetric unit:
Ba: 0.000 0.500 0.250
U: 0.000 0.000 0.250
P: 0.037 0.230 0.000
S: 0.067 0.779 0.173
S: 0.075 0.870 0.500
S: 0.125 0.365 0.500

VASP energy = -269.36 eV per cell
DFT formation energy = -1.186 eV per atom